Entry from the Materials Project database: an optimized crystal structure of VFeCu2O4 (PBE with a Hubbard U).

Summary:
Symmetry: R-3m
MP2020-corrected energy in hartree per atom: -0.2653
DFT formation energy in eV/atom: -1.53
Spin magnetization in μB/atom: 0.877

a = 11.735 Å, b = 11.735 Å, c = 11.735 Å
α = 14.89°, β = 14.89°, γ = 14.89°
Fractional coordinates of all 8 atoms:
V (0.500, 0.500, 0.500)
Fe (0.000, 0.000, 0.000)
O (0.303, 0.303, 0.303)
O (0.697, 0.697, 0.697)
O (0.803, 0.803, 0.803)
O (0.197, 0.197, 0.197)
Cu (0.750, 0.750, 0.750)
Cu (0.250, 0.250, 0.250)